Compound: In14Ga3Pt2O8F15
Source: Materials Project
Functional: GGA-PBE
Structure: optimized geometry

Lattice parameters (Å, degrees): 16.0568 16.0568 16.0568 26.02 26.02 26.02
Closest atoms and distances in Å follow each position.
Sites, in units of the cell vectors:
In  0.1496  0.1496  0.1496  3 F 2.73
In  0.7020  0.1933  0.1939  3 O 2.30-2.31, 2 F 2.34-2.47
In  0.1939  0.7020  0.1933  3 O 2.30-2.31, 2 F 2.34-2.47
In  0.1933  0.1939  0.7020  3 O 2.30-2.31, 2 F 2.34-2.47
In  0.6091  0.5869  0.0913  3 F 2.20-2.28, 1 O 2.30
In  0.0913  0.6091  0.5869  3 F 2.20-2.28, 1 O 2.30
In  0.5869  0.0913  0.6091  3 F 2.20-2.28, 1 O 2.30
In  0.9087  0.3909  0.4131  3 F 2.20-2.28, 1 O 2.30
In  0.4131  0.9087  0.3909  3 F 2.20-2.28, 1 O 2.30
In  0.3909  0.4131  0.9087  3 F 2.20-2.28, 1 O 2.30
In  0.8067  0.8061  0.2980  3 O 2.30-2.31, 2 F 2.34-2.47
In  0.8061  0.2980  0.8067  3 O 2.30-2.31, 2 F 2.34-2.47
In  0.2980  0.8067  0.8061  3 O 2.30-2.31, 2 F 2.34-2.47
In  0.8504  0.8504  0.8504  3 F 2.73
Ga  0.3002  0.3002  0.3002  4 O 1.88-1.90
Ga  0.5000  0.5000  0.5000  6 F 1.93
Ga  0.6998  0.6998  0.6998  4 O 1.88-1.90
Pt  0.3964  0.3964  0.3964  6 In 2.61-2.63
Pt  0.6036  0.6036  0.6036  6 In 2.61-2.63
O  0.2594  0.2594  0.2594  1 Ga 1.90
O  0.5969  0.1726  0.1727  1 Ga 1.88
O  0.1727  0.5969  0.1726  1 Ga 1.88
O  0.1726  0.1727  0.5969  1 Ga 1.88
O  0.8274  0.8273  0.4031  1 Ga 1.88
O  0.4031  0.8274  0.8273  1 Ga 1.88
O  0.8273  0.4031  0.8274  1 Ga 1.88
O  0.7406  0.7406  0.7406  1 Ga 1.90
F  0.0000  0.0000  0.0000  6 In 2.47, 2 F 2.52, 6 O 2.57
F  0.0541  0.0541  0.0541  3 In 2.34, 1 F 2.52
F  0.5438  0.0697  0.0460  2 In 2.20-2.21
F  0.0460  0.5438  0.0697  2 In 2.20-2.21
F  0.0697  0.0460  0.5438  2 In 2.20-2.21
F  0.6325  0.5714  0.2256  1 Ga 1.93
F  0.2256  0.6325  0.5714  1 Ga 1.93
F  0.5714  0.2256  0.6325  1 Ga 1.93
F  0.4286  0.7744  0.3675  1 Ga 1.93
F  0.7744  0.3675  0.4286  1 Ga 1.93
F  0.3675  0.4286  0.7744  1 Ga 1.93
F  0.9303  0.9540  0.4562  2 In 2.20-2.21
F  0.4562  0.9303  0.9540  2 In 2.20-2.21
F  0.9540  0.4562  0.9303  2 In 2.20-2.21
F  0.9459  0.9459  0.9459  3 In 2.34, 1 F 2.52

Properties
Calculated formation energy (eV/atom): -2.156
Crystal system: trigonal